Record 1
An optimized crystal structure of LiCa10MgSb9. Source: the Materials Project, functional PBE.

Computed properties:
E (MP2020)   -3.9420 eV/atom
Formation enthalpy at 0 K   -22.06 eV per formula unit
Symmetry   P4_2/mnm (136)
Magnetic moment   0.0000 μB per atom
Energy   -3.86 eV/atom

Cell: 11.964 11.964 17.185 Å, 90.00 90.00 90.00°
Positions (direct):
1 Li 0.222 0.222 0.000
2 Li 0.278 0.722 0.500
3 Li 0.722 0.278 0.500
4 Li 0.778 0.778 0.000
5 Ca 0.000 0.000 0.144
6 Ca 0.000 0.000 0.856
7 Ca 0.012 0.748 0.310
8 Ca 0.012 0.748 0.690
9 Ca 0.015 0.662 0.103
10 Ca 0.015 0.662 0.897
11 Ca 0.162 0.485 0.397
12 Ca 0.162 0.485 0.603
13 Ca 0.182 0.182 0.500
14 Ca 0.248 0.488 0.190
15 Ca 0.248 0.488 0.810
16 Ca 0.252 0.988 0.310
17 Ca 0.252 0.988 0.690
18 Ca 0.318 0.682 0.000
19 Ca 0.338 0.985 0.103
20 Ca 0.338 0.985 0.897
21 Ca 0.485 0.162 0.397
22 Ca 0.485 0.162 0.603
23 Ca 0.488 0.248 0.190
24 Ca 0.488 0.248 0.810
25 Ca 0.500 0.500 0.356
26 Ca 0.500 0.500 0.644
27 Ca 0.512 0.752 0.190
28 Ca 0.512 0.752 0.810
29 Ca 0.515 0.838 0.397
30 Ca 0.515 0.838 0.603
31 Ca 0.662 0.015 0.103
32 Ca 0.662 0.015 0.897
33 Ca 0.682 0.318 0.000
34 Ca 0.748 0.012 0.310
35 Ca 0.748 0.012 0.690
36 Ca 0.752 0.512 0.190
37 Ca 0.752 0.512 0.810
38 Ca 0.818 0.818 0.500
39 Ca 0.838 0.515 0.397
40 Ca 0.838 0.515 0.603
41 Ca 0.985 0.338 0.103
42 Ca 0.985 0.338 0.897
43 Ca 0.988 0.252 0.310
44 Ca 0.988 0.252 0.690
45 Mg 0.102 0.898 0.500
46 Mg 0.398 0.398 0.000
47 Mg 0.602 0.602 0.000
48 Mg 0.898 0.102 0.500
49 Sb 0.000 0.000 0.365
50 Sb 0.000 0.000 0.635
51 Sb 0.000 0.500 0.250
52 Sb 0.000 0.500 0.750
53 Sb 0.031 0.666 0.500
54 Sb 0.129 0.871 0.000
55 Sb 0.166 0.469 0.000
56 Sb 0.186 0.186 0.171
57 Sb 0.186 0.186 0.829
58 Sb 0.224 0.776 0.181
59 Sb 0.224 0.776 0.819
60 Sb 0.276 0.276 0.319
61 Sb 0.276 0.276 0.681
62 Sb 0.314 0.686 0.329
63 Sb 0.314 0.686 0.671
64 Sb 0.334 0.969 0.500
65 Sb 0.371 0.371 0.500
66 Sb 0.469 0.166 0.000
67 Sb 0.500 0.000 0.250
68 Sb 0.500 0.000 0.750
69 Sb 0.500 0.500 0.135
70 Sb 0.500 0.500 0.865
71 Sb 0.531 0.834 0.000
72 Sb 0.629 0.629 0.500
73 Sb 0.666 0.031 0.500
74 Sb 0.686 0.314 0.329
75 Sb 0.686 0.314 0.671
76 Sb 0.724 0.724 0.319
77 Sb 0.724 0.724 0.681
78 Sb 0.776 0.224 0.181
79 Sb 0.776 0.224 0.819
80 Sb 0.814 0.814 0.171
81 Sb 0.814 0.814 0.829
82 Sb 0.834 0.531 0.000
83 Sb 0.871 0.129 0.000
84 Sb 0.969 0.334 0.500

---

Record 2
An optimized crystal structure of TbAlB14. Source: the Materials Project, functional PBE.

Computed properties:
Formation enthalpy at 0 K   -2.60 eV per formula unit
Symmetry   Imma (74)
Magnetic moment   0.0000 μB per atom
Energy   -6.53 eV/atom

Cell: 7.301 7.301 7.301 Å, 132.22 88.23 111.03°
Positions (direct):
1 Tb 0.401 0.151 0.250
2 Tb 0.599 0.849 0.750
3 Al 0.000 0.000 0.500
4 Al 0.000 0.500 0.000
5 B 0.017 0.873 0.143
6 B 0.031 0.204 0.332
7 B 0.031 0.700 0.828
8 B 0.076 0.667 0.410
9 B 0.201 0.534 0.667
10 B 0.222 0.500 0.398
11 B 0.222 0.824 0.723
12 B 0.230 0.873 0.357
13 B 0.243 0.333 0.910
14 B 0.366 0.534 0.833
15 B 0.372 0.204 0.672
16 B 0.372 0.700 0.168
17 B 0.398 0.176 0.898
18 B 0.398 0.500 0.223
19 B 0.602 0.500 0.777
20 B 0.602 0.824 0.102
21 B 0.628 0.300 0.832
22 B 0.628 0.796 0.328
23 B 0.634 0.466 0.167
24 B 0.757 0.667 0.090
25 B 0.770 0.127 0.643
26 B 0.778 0.176 0.277
27 B 0.778 0.500 0.602
28 B 0.799 0.466 0.333
29 B 0.924 0.333 0.590
30 B 0.969 0.300 0.172
31 B 0.969 0.796 0.668
32 B 0.983 0.127 0.857

---

Record 3
An optimized crystal structure of TlCu2As2O8. Source: the Materials Project, functional PBE.

Computed properties:
E (MP2020)   -5.8745 eV/atom
Formation enthalpy at 0 K   -16.91 eV per formula unit
Symmetry   P2_1/c (14)
Magnetic moment   0.0725 μB per atom
Energy   -5.45 eV/atom

Cell: 6.392 11.211 10.602 Å, 90.00 98.14 90.00°
Positions (direct):
1 Tl 0.231 0.084 0.477
2 Tl 0.231 0.416 0.977
3 Tl 0.769 0.584 0.023
4 Tl 0.769 0.916 0.523
5 Cu 0.090 0.543 0.342
6 Cu 0.090 0.957 0.842
7 Cu 0.443 0.156 0.822
8 Cu 0.443 0.344 0.322
9 Cu 0.557 0.656 0.678
10 Cu 0.557 0.844 0.178
11 Cu 0.910 0.043 0.158
12 Cu 0.910 0.457 0.658
13 As 0.132 0.708 0.763
14 As 0.132 0.792 0.263
15 As 0.382 0.113 0.124
16 As 0.382 0.387 0.624
17 As 0.618 0.613 0.376
18 As 0.618 0.887 0.876
19 As 0.868 0.208 0.737
20 As 0.868 0.292 0.237
21 O 0.070 0.100 0.744
22 O 0.070 0.400 0.244
23 O 0.103 0.703 0.397
24 O 0.103 0.797 0.897
25 O 0.114 0.695 0.140
26 O 0.114 0.805 0.640
27 O 0.171 0.015 0.098
28 O 0.171 0.485 0.598
29 O 0.368 0.185 0.265
30 O 0.368 0.315 0.765
31 O 0.372 0.632 0.802
32 O 0.372 0.868 0.302
33 O 0.391 0.204 0.994
34 O 0.391 0.296 0.494
35 O 0.398 0.514 0.356
36 O 0.398 0.986 0.856
37 O 0.602 0.014 0.144
38 O 0.602 0.486 0.644
39 O 0.609 0.704 0.506
40 O 0.609 0.796 0.006
41 O 0.628 0.132 0.698
42 O 0.628 0.368 0.198
43 O 0.632 0.685 0.235
44 O 0.632 0.815 0.735
45 O 0.829 0.515 0.402
46 O 0.829 0.985 0.902
47 O 0.886 0.195 0.360
48 O 0.886 0.305 0.860
49 O 0.897 0.203 0.103
50 O 0.897 0.297 0.603
51 O 0.930 0.600 0.756
52 O 0.930 0.900 0.256

---

Record 4
An optimized crystal structure of Ca2Sb2O7. Source: the Materials Project, functional PBE.

Computed properties:
E (MP2020)   -6.4156 eV/atom
Formation enthalpy at 0 K   -23.67 eV per formula unit
Symmetry   Fd-3m (227)
Magnetic moment   0.0000 μB per atom
Energy   -5.98 eV/atom

Cell: 7.346 7.346 7.346 Å, 60.00 60.00 60.00°
Positions (direct):
1 Ca 0.000 0.000 0.000
2 Ca 0.000 0.000 0.500
3 Ca 0.000 0.500 0.000
4 Ca 0.500 0.000 0.000
5 Sb 0.000 0.500 0.500
6 Sb 0.500 0.000 0.500
7 Sb 0.500 0.500 0.000
8 Sb 0.500 0.500 0.500
9 O 0.140 0.140 0.610
10 O 0.140 0.610 0.140
11 O 0.140 0.610 0.610
12 O 0.375 0.375 0.375
13 O 0.390 0.390 0.860
14 O 0.390 0.860 0.390
15 O 0.390 0.860 0.860
16 O 0.610 0.140 0.140
17 O 0.610 0.140 0.610
18 O 0.610 0.610 0.140
19 O 0.625 0.625 0.625
20 O 0.860 0.390 0.390
21 O 0.860 0.390 0.860
22 O 0.860 0.860 0.390

---

Record 5
An optimized crystal structure of K2Zn3Se4O12. Source: the Materials Project, functional PBE.

Computed properties:
E (MP2020)   -5.4110 eV/atom
Formation enthalpy at 0 K   -34.27 eV per formula unit
Symmetry   C2/c (15)
Magnetic moment   0.0000 μB per atom
Energy   -5.02 eV/atom

Cell: 7.297 7.297 14.013 Å, 92.67 92.67 74.51°
Positions (direct):
1 K 0.202 0.217 0.483
2 K 0.217 0.202 0.983
3 K 0.783 0.798 0.017
4 K 0.798 0.783 0.517
5 Zn 0.001 0.999 0.750
6 Zn 0.323 0.626 0.602
7 Zn 0.374 0.677 0.898
8 Zn 0.626 0.323 0.102
9 Zn 0.677 0.374 0.398
10 Zn 0.999 0.001 0.250
11 Se 0.022 0.583 0.778
12 Se 0.282 0.677 0.371
13 Se 0.323 0.718 0.129
14 Se 0.417 0.978 0.722
15 Se 0.583 0.022 0.278
16 Se 0.677 0.282 0.871
17 Se 0.718 0.323 0.629
18 Se 0.978 0.417 0.222
19 O 0.077 0.198 0.168
20 O 0.081 0.788 0.146
21 O 0.088 0.677 0.676
22 O 0.179 0.652 0.477
23 O 0.198 0.077 0.668
24 O 0.212 0.919 0.354
25 O 0.231 0.498 0.846
26 O 0.323 0.912 0.824
27 O 0.348 0.821 0.023
28 O 0.355 0.482 0.092
29 O 0.482 0.355 0.592
30 O 0.498 0.231 0.346
31 O 0.502 0.769 0.654
32 O 0.518 0.645 0.408
33 O 0.645 0.518 0.908
34 O 0.652 0.179 0.977
35 O 0.677 0.088 0.176
36 O 0.769 0.502 0.154
37 O 0.788 0.081 0.646
38 O 0.802 0.923 0.332
39 O 0.821 0.348 0.523
40 O 0.912 0.323 0.324
41 O 0.919 0.212 0.854
42 O 0.923 0.802 0.832

---

Record 6
An optimized crystal structure of MgScMoS4. Source: the Materials Project, functional PBE.

Computed properties:
E (MP2020)   -6.5186 eV/atom
Formation enthalpy at 0 K   -10.31 eV per formula unit
Symmetry   Imma (74)
Magnetic moment   0.4262 μB per atom
Energy   -6.23 eV/atom

Cell: 7.477 7.477 7.477 Å, 120.13 119.62 90.22°
Positions (direct):
1 Mg 0.378 0.128 0.250
2 Mg 0.622 0.872 0.750
3 Sc 0.000 0.000 0.500
4 Sc 0.000 0.500 0.000
5 Mo 0.000 0.500 0.500
6 Mo 0.500 0.500 0.000
7 S 0.225 0.739 0.486
8 S 0.246 0.270 0.524
9 S 0.246 0.722 0.976
10 S 0.247 0.261 0.986
11 S 0.753 0.739 0.014
12 S 0.754 0.278 0.024
13 S 0.754 0.730 0.476
14 S 0.775 0.261 0.514

---

Record 7
An optimized crystal structure of Sc3Co2Ge3. Source: the Materials Project, functional PBE.

Computed properties:
Formation enthalpy at 0 K   -5.93 eV per formula unit
Symmetry   Cmcm (63)
Magnetic moment   0.0050 μB per atom
Energy   -6.63 eV/atom

Cell: 5.348 5.348 13.291 Å, 90.00 90.00 135.60°
Positions (direct):
1 Sc 0.080 0.920 0.611
2 Sc 0.080 0.920 0.889
3 Sc 0.353 0.647 0.750
4 Sc 0.647 0.353 0.250
5 Sc 0.920 0.080 0.111
6 Sc 0.920 0.080 0.389
7 Co 0.209 0.791 0.098
8 Co 0.209 0.791 0.402
9 Co 0.791 0.209 0.598
10 Co 0.791 0.209 0.902
11 Ge 0.346 0.654 0.250
12 Ge 0.377 0.623 0.540
13 Ge 0.377 0.623 0.960
14 Ge 0.623 0.377 0.040
15 Ge 0.623 0.377 0.460
16 Ge 0.654 0.346 0.750

---

Record 8
An optimized crystal structure of Na4LaYSi2SO12. Source: the Materials Project, functional PBE.

Computed properties:
E (MP2020)   -7.2019 eV/atom
Formation enthalpy at 0 K   -60.19 eV per formula unit
Symmetry   P1 (1)
Magnetic moment   0.0000 μB per atom
Energy   -6.81 eV/atom

Cell: 9.639 9.649 23.776 Å, 90.00 90.01 119.86°
Positions (direct):
1 Na 0.000 0.000 0.000
2 Na 0.001 0.297 0.566
3 Na 0.019 0.631 0.477
4 Na 0.242 0.250 0.495
5 Na 0.282 0.558 0.643
6 Na 0.283 0.912 0.400
7 Na 0.294 0.619 0.979
8 Na 0.298 0.284 0.141
9 Na 0.330 0.670 0.331
10 Na 0.336 0.963 0.901
11 Na 0.354 0.299 0.812
12 Na 0.575 0.915 0.831
13 Na 0.607 0.222 0.982
14 Na 0.614 0.576 0.734
15 Na 0.625 0.283 0.311
16 Na 0.631 0.954 0.475
17 Na 0.662 0.337 0.662
18 Na 0.669 0.629 0.234
19 Na 0.685 0.962 0.144
20 Na 0.907 0.581 0.162
21 Na 0.946 0.892 0.313
22 Na 0.948 0.244 0.068
23 Na 0.958 0.946 0.640
24 Na 0.963 0.621 0.809
25 La 0.294 0.948 0.746
26 La 0.615 0.605 0.891
27 La 0.631 0.617 0.576
28 La 0.948 0.271 0.221
29 La 0.964 0.284 0.917
30 La 0.973 0.295 0.719
31 Y 0.283 0.940 0.550
32 Y 0.297 0.952 0.249
33 Y 0.305 0.960 0.055
34 Y 0.627 0.614 0.084
35 Y 0.639 0.629 0.387
36 Y 0.962 0.282 0.413
37 Si 0.278 0.597 0.819
38 Si 0.299 0.253 0.648
39 Si 0.319 0.613 0.482
40 Si 0.321 0.302 0.989
41 Si 0.598 0.255 0.152
42 Si 0.625 0.919 0.987
43 Si 0.650 0.970 0.319
44 Si 0.653 0.282 0.817
45 Si 0.943 0.931 0.484
46 Si 0.963 0.591 0.318
47 Si 0.986 0.640 0.650
48 Si 0.994 0.943 0.150
49 S 0.272 0.282 0.319
50 S 0.302 0.655 0.150
51 S 0.600 0.949 0.647
52 S 0.630 0.304 0.481
53 S 0.938 0.621 0.988
54 S 0.961 0.970 0.818
55 O 0.066 0.734 0.709
56 O 0.084 0.927 0.207
57 O 0.096 0.950 0.094
58 O 0.101 0.760 0.995
59 O 0.102 0.743 0.597
60 O 0.109 0.958 0.816
61 O 0.122 0.772 0.315
62 O 0.123 0.950 0.486
63 O 0.127 0.254 0.646
64 O 0.136 0.460 0.477
65 O 0.144 0.291 0.989
66 O 0.163 0.491 0.154
67 O 0.166 0.263 0.368
68 O 0.174 0.505 0.876
69 O 0.188 0.487 0.763
70 O 0.205 0.310 0.267
71 O 0.281 0.132 0.315
72 O 0.284 0.733 0.099
73 O 0.290 0.774 0.818
74 O 0.295 0.121 0.992
75 O 0.299 0.146 0.594
76 O 0.315 0.175 0.707
77 O 0.316 0.751 0.201
78 O 0.316 0.784 0.484
79 O 0.391 0.581 0.541
80 O 0.422 0.378 0.930
81 O 0.423 0.419 0.041
82 O 0.435 0.627 0.429
83 O 0.436 0.418 0.328
84 O 0.452 0.645 0.147
85 O 0.453 0.437 0.647
86 O 0.456 0.923 0.990
87 O 0.460 0.622 0.819
88 O 0.470 0.126 0.818
89 O 0.473 0.958 0.315
90 O 0.488 0.142 0.486
91 O 0.492 0.164 0.208
92 O 0.509 0.145 0.097
93 O 0.510 0.959 0.598
94 O 0.513 0.936 0.700
95 O 0.608 0.389 0.433
96 O 0.609 0.432 0.149
97 O 0.613 0.827 0.927
98 O 0.616 0.803 0.644
99 O 0.623 0.787 0.325
100 O 0.644 0.819 0.040
101 O 0.650 0.452 0.817
102 O 0.656 0.399 0.533
103 O 0.744 0.266 0.874
104 O 0.745 0.087 0.373
105 O 0.752 0.287 0.760
106 O 0.760 0.045 0.263
107 O 0.761 0.093 0.648
108 O 0.776 0.288 0.474
109 O 0.781 0.281 0.152
110 O 0.782 0.102 0.989
111 O 0.796 0.599 0.323
112 O 0.807 0.624 0.647
113 O 0.812 0.784 0.149
114 O 0.821 0.808 0.821
115 O 0.832 0.608 0.036
116 O 0.838 0.856 0.541
117 O 0.846 0.807 0.432
118 O 0.871 0.643 0.935
119 O 0.942 0.488 0.260
120 O 0.947 0.050 0.766
121 O 0.948 0.472 0.987
122 O 0.962 0.109 0.476
123 O 0.967 0.460 0.647
124 O 0.973 0.066 0.868
125 O 0.986 0.111 0.150
126 O 0.988 0.498 0.371

---

Question: What is the formation enthalpy at 0 K in the sixth record?
Answer: -10.31 eV per formula unit

---

Question: Look up the magnetic moment of the fifth one.
Answer: 0.0000 μB per atom

---

Question: The lowest formation enthalpy at 0 K belongs to which entry?
Answer: Na4LaYSi2SO12